The following is a DFT calculation (PBE+U) of an optimized crystal structure of Li9Mn2Co5O16.

a = 5.0174 Å, b = 5.0974 Å, c = 11.8728 Å
α = 91.09°, β = 91.80°, γ = 108.12°
With the nearest neighbours (Å) after each atom.
Space group P1 (No. 1)
Asymmetric unit:
Li 0.0000 0.0000 0.0000 x1  5 O 2.07-2.17
Li 0.0007 0.0046 0.7471 x1  6 O 2.05-2.25
Li 0.4954 0.9987 0.1247 x1  6 O 2.09-2.17
Li 0.4973 0.0026 0.3806 x1  6 O 2.10-2.27
Li 0.4985 0.9984 0.8746 x1  6 O 2.11-2.21
Li 0.5003 0.9992 0.6179 x1  6 O 2.06-2.28
Li 0.5014 0.5044 0.4972 x1  6 O 2.09-2.20
Li 0.9896 0.9957 0.2527 x1  6 O 2.03-2.24
Li 0.9946 0.9955 0.5013 x1  5 O 1.98-2.20
Mn 0.4933 0.4938 0.2520 x1  6 O 1.91-2.01
Mn 0.9977 0.5031 0.8757 x1  4 O 1.95-1.98
Co 0.0017 0.5006 0.3805 x1  6 O 1.94-2.17
Co 0.0079 0.5090 0.6172 x1  5 O 1.84-2.04
Co 0.4962 0.4972 0.9998 x1  6 O 1.95-2.10
Co 0.5053 0.5031 0.7460 x1  5 O 1.93-2.06
Co 0.9920 0.4914 0.1267 x1  4 O 1.89-1.97
O 0.2278 0.2814 0.6282 x1  2 Co 1.84-2.00
O 0.2327 0.7500 0.4963 x1  2 Co 1.94-2.04, 4 Li 1.98-2.11
O 0.2392 0.7161 0.2416 x1  1 Co 1.91, 1 Mn 1.95
O 0.2413 0.7361 0.9941 x1  1 Mn 1.95, 1 Co 2.02, 3 Li 2.07-2.14
O 0.2490 0.2745 0.1269 x1  2 Co 1.94-2.10, 1 Mn 1.98, 2 Li 2.12-2.14
O 0.2533 0.2746 0.8790 x1  2 Co 1.95-2.17, 1 Mn 1.98, 3 Li 2.14-2.17
O 0.2543 0.2790 0.3613 x1  1 Mn 1.91, 1 Co 1.96, 2 Li 2.03-2.09
O 0.2605 0.7333 0.7391 x1  2 Co 1.95-1.98, 3 Li 2.13-2.18
O 0.7276 0.7083 0.1295 x1  2 Co 1.97-1.98, 1 Mn 2.01, 2 Li 2.15
O 0.7291 0.2642 0.2546 x1  1 Mn 1.91, 1 Co 2.08, 1 Li 2.10
O 0.7418 0.2685 0.7577 x1  1 Co 1.93, 1 Mn 1.98, 2 Li 2.11-2.15
O 0.7416 0.7272 0.3637 x1  1 Mn 1.91, 1 Co 2.00, 1 Li 2.07
O 0.7484 0.7310 0.8780 x1  1 Mn 1.95, 2 Co 2.06-2.09, 2 Li 2.07-2.12
O 0.7551 0.2625 0.0128 x1  2 Co 1.89-2.03, 2 Li 2.09
O 0.7710 0.7192 0.6289 x1  2 Co 1.84-2.05, 1 Li 2.05
O 0.7821 0.2712 0.5033 x1  2 Co 1.89-2.02, 2 Li 2.01-2.11

ΔE_f, eV per formula unit: -58.15
Total energy, eV per atom: -5.808
Relative energy among the computed polymorphs, eV per atom: 0.0470
Spin magnetization, μB/cell: 10.00



The following is a DFT calculation (PBE+U) of an optimized crystal structure of Li9Mn2Co5O16.

a = 5.0282 Å, b = 5.9226 Å, c = 10.1545 Å
α = 104.88°, β = 99.65°, γ = 92.25°
With the nearest neighbours (Å) after each atom.
Space group P1 (No. 1)
Asymmetric unit:
Li 0.0000 0.0000 0.0000 x1  3 O 1.97-2.05
Li 0.9999 0.0107 0.5362 x1  5 O 2.03-2.27
Li 0.2430 0.8824 0.7714 x1  6 O 2.05-2.15
Li 0.4797 0.7720 0.5403 x1  4 O 1.98-2.21
Li 0.4836 0.2486 0.0071 x1  6 O 2.04-2.25
Li 0.4931 0.7532 0.0042 x1  4 O 1.98-2.20
Li 0.4974 0.2717 0.5346 x1  3 O 1.98-2.04
Li 0.9879 0.4896 0.0043 x1  4 O 1.99-2.19
Li 0.9973 0.5278 0.5342 x1  5 O 2.01-2.21
Mn 0.2432 0.8833 0.2719 x1  4 O 1.95-1.98
Mn 0.7423 0.1365 0.2699 x1  6 O 1.93-1.97
Co 0.2363 0.3862 0.7712 x1  6 O 1.91-2.13
Co 0.2398 0.3805 0.2684 x1  4 O 1.91-1.96
Co 0.7278 0.1252 0.7668 x1  6 O 1.91-2.14
Co 0.7432 0.6321 0.2705 x1  5 O 1.93-2.14
Co 0.7475 0.6392 0.7717 x1  6 O 1.86-1.98
O 0.0886 0.6833 0.8840 x1  2 Co 1.86-2.08, 3 Li 1.99-2.05
O 0.0972 0.2162 0.3840 x1  1 Co 1.91, 1 Mn 1.93
O 0.1007 0.7026 0.3847 x1  1 Co 1.94, 1 Mn 1.95, 1 Li 2.16
O 0.1105 0.2049 0.8829 x1  2 Co 1.91-2.05, 3 Li 2.00-2.04
O 0.3787 0.0812 0.6514 x1  2 Co 1.91-2.13, 4 Li 1.98-2.07
O 0.3842 0.0584 0.1550 x1  2 Mn 1.94-1.96
O 0.3859 0.5558 0.1586 x1  2 Co 1.92-1.93
O 0.3865 0.5659 0.6600 x1  2 Co 1.94-1.95, 4 Li 2.02-2.15
O 0.6096 0.9582 0.3849 x1  2 Mn 1.94-1.97
O 0.6110 0.4258 0.3724 x1  2 Co 1.96, 1 Mn 1.96
O 0.6211 0.4514 0.8846 x1  3 Co 1.95-2.14, 3 Li 2.00-2.11
O 0.6361 0.9250 0.8835 x1  2 Co 1.94-1.97, 3 Li 1.97-2.08
O 0.8466 0.8144 0.6560 x1  2 Co 1.87-2.06, 2 Li 1.98-2.08
O 0.8637 0.3498 0.6575 x1  3 Co 1.98-2.10, 2 Li 2.01
O 0.8663 0.8427 0.1680 x1  1 Co 1.96, 2 Mn 1.97-1.98
O 0.8810 0.3158 0.1566 x1  2 Co 1.93-2.14, 1 Mn 1.94

ΔE_f, eV per formula unit: -57.72
Total energy, eV per atom: -5.794
Relative energy among the computed polymorphs, eV per atom: 0.0604
Spin magnetization, μB/cell: 8.00



The following is a DFT calculation (PBE+U) of an optimized crystal structure of Li5Fe8B8O24.

a = 5.2579 Å, b = 9.0518 Å, c = 10.1619 Å
α = 89.55°, β = 88.21°, γ = 89.63°
With the nearest neighbours (Å) after each atom.
Space group P1 (No. 1)
Asymmetric unit:
Li 0.0000 0.0000 0.0000 x1  4 O 1.91-2.00
Li 0.0001 0.0271 0.5013 x1  4 O 1.95-2.09
Li 0.1962 0.5265 0.7530 x1  4 O 1.99-2.20
Li 0.5075 0.5118 0.0096 x1  4 O 1.93-2.13
Li 0.6865 0.0107 0.2618 x1  4 O 1.99-2.15
Fe 0.0047 0.3688 0.5273 x1  4 O 1.96-2.19
Fe 0.0106 0.6714 0.0400 x1  4 O 1.99-2.12
Fe 0.1814 0.1814 0.7815 x1  4 O 1.91-2.09
Fe 0.1866 0.8415 0.2788 x1  4 O 1.95-2.18
Fe 0.4990 0.1751 0.0317 x1  4 O 2.00-2.22
Fe 0.5042 0.8448 0.5345 x1  5 O 1.91-2.08
Fe 0.6703 0.3573 0.2892 x1  4 O 1.88-2.09
Fe 0.6941 0.6950 0.7864 x1  5 O 2.01-2.19
B 0.0054 0.3440 0.0324 x1  3 O 1.35-1.42
B 0.0179 0.6929 0.5414 x1  3 O 1.35-1.41
B 0.1678 0.1881 0.2878 x1  3 O 1.38-1.41
B 0.1850 0.8491 0.7857 x1  3 O 1.38-1.39
B 0.5051 0.1785 0.5301 x1  3 O 1.38-1.42
B 0.5110 0.8491 0.0397 x1  3 O 1.39-1.40
B 0.6725 0.3502 0.7876 x1  3 O 1.36-1.41
B 0.6841 0.6839 0.2881 x1  3 O 1.36-1.42
O 0.0337 0.3175 0.3168 x1  1 B 1.39
O 0.0473 0.0541 0.2995 x1  1 B 1.38
O 0.0649 0.9837 0.8056 x1  1 B 1.38
O 0.0658 0.7186 0.8235 x1  1 B 1.39
O 0.1114 0.2074 0.9898 x1  1 B 1.42
O 0.1394 0.8247 0.4998 x1  1 B 1.41
O 0.1474 0.5647 0.5591 x1  1 B 1.35
O 0.1493 0.4675 0.0242 x1  1 B 1.35
O 0.2482 0.1823 0.5772 x1  1 B 1.42
O 0.2496 0.8552 0.0659 x1  1 B 1.39
O 0.4262 0.8431 0.7283 x1  1 B 1.38
O 0.4285 0.1948 0.2508 x1  1 B 1.41
O 0.5363 0.2202 0.8170 x1  1 B 1.41
O 0.5532 0.4835 0.8024 x1  1 B 1.36
O 0.5536 0.5535 0.2861 x1  1 B 1.37
O 0.5624 0.8156 0.3334 x1  1 B 1.42
O 0.6261 0.7185 0.9987 x1  1 B 1.39
O 0.6277 0.3069 0.4892 x1  1 B 1.39
O 0.6311 0.0449 0.5206 x1  1 B 1.38
O 0.6542 0.9758 0.0599 x1  1 B 1.40
O 0.7495 0.3469 0.0791 x1  1 B 1.41
O 0.7600 0.7020 0.5726 x1  1 B 1.39
O 0.9305 0.6930 0.2431 x1  1 B 1.36
O 0.9323 0.3394 0.7487 x1  1 B 1.41

ΔE_f, eV per formula unit: -102.68
Total energy, eV per atom: -7.059
Relative energy among the computed polymorphs, eV per atom: 0.0094
Spin magnetization, μB/cell: 35.00



The following is a DFT calculation (PBE+U) of an optimized crystal structure of Er2Mn3Sb3O14.

a = 12.3058 Å, b = 7.3212 Å, c = 7.2530 Å
α = 90.00°, β = 123.97°, γ = 90.00°
With the nearest neighbours (Å) after each atom.
Space group C2/m (No. 12)
Asymmetric unit:
Er 0.2500 0.2500 0.0000 x4  8 O 2.26-2.50
Mn 0.0000 0.0000 0.0000 x2  2 O 2.13
Mn 0.0000 0.0000 0.5000 x2  4 O 2.25-2.44
Mn 0.0000 0.5000 0.5000 x2  6 O 1.97-2.14
Sb 0.0000 0.5000 0.0000 x2  6 O 1.95-2.01
Sb 0.2500 0.2500 0.5000 x4  6 O 1.98-2.00
O 0.0921 0.5000 0.8519 x4  1 Sb 1.95, 1 Mn 2.14
O 0.1206 0.0000 0.8739 x4  2 Mn 2.13-2.25, 2 Er 2.26
O 0.1257 0.2951 0.1732 x8  2 Sb 2.00-2.01
O 0.1277 0.2999 0.5890 x8  1 Mn 1.97, 1 Sb 1.98
O 0.1704 0.0000 0.4265 x4  2 Sb 2.00

ΔE_f, eV per formula unit: -54.56
Total energy, eV per atom: -7.192
Spin magnetization, μB/cell: 28.00